No. 1
The following is a GGA+U calculation of a relaxed MgFe10O16F4 crystal, from the Materials Project database.

a = 4.8442 Å, b = 5.5540 Å, c = 12.8952 Å
α = 78.65°, β = 89.67°, γ = 89.89°
Element x y z (fractional)
Mg 0.0000 0.0000 0.0000
Fe 0.0175 0.9781 0.5032
Fe 0.0178 0.2080 0.7008
Fe 0.4615 0.2980 0.3017
Fe 0.4776 0.5124 0.4920
Fe 0.4953 0.1029 0.1067
Fe 0.5194 0.7146 0.6847
Fe 0.5187 0.9554 0.8796
Fe 0.9611 0.5395 0.1107
Fe 0.9746 0.4513 0.8880
Fe 0.9956 0.7879 0.2949
O 0.1559 0.3109 0.0404
O 0.1627 0.5211 0.2366
O 0.1677 0.1416 0.8503
O 0.1729 0.7364 0.4327
O 0.1960 0.9488 0.6402
O 0.3035 0.0284 0.2435
O 0.3075 0.2359 0.4396
O 0.3131 0.4486 0.6328
O 0.6552 0.3515 0.1698
O 0.6635 0.5534 0.3560
O 0.6655 0.1888 0.9594
O 0.6882 0.7582 0.5464
O 0.6995 0.9728 0.7483
O 0.8169 0.4744 0.7509
O 0.8288 0.8574 0.1474
O 0.8318 0.6948 0.9627
F 0.3273 0.6516 0.8389
F 0.3359 0.8204 0.0392
F 0.8057 0.0598 0.3573
F 0.8142 0.2578 0.5536

Computed properties:
- Relative energy among the computed polymorphs: 0.259 eV/f.u.
- Spin magnetization: 45.982 μB/cell
- ΔH_f (0 K): -1.691 eV per atom
- E_tot: -6.13 eV/atom

=====

No. 2
The following is a GGA+U calculation of a relaxed NaFe3O5 crystal, from the Materials Project database.

a = 10.9189 Å, b = 11.8850 Å, c = 3.0314 Å
α = 90.00°, β = 90.00°, γ = 90.00°
Element x y z (fractional)
Na 0.0420 0.2490 0.0000
Na 0.4580 0.7490 0.5000
Na 0.5420 0.2510 0.5000
Na 0.9580 0.7510 0.0000
Fe 0.0000 0.0000 0.5000
Fe 0.0000 0.5000 0.0000
Fe 0.2057 0.8824 0.0000
Fe 0.2202 0.6182 0.5000
Fe 0.2798 0.1182 0.0000
Fe 0.2943 0.3824 0.5000
Fe 0.5000 0.0000 0.5000
Fe 0.5000 0.5000 0.0000
Fe 0.7057 0.6176 0.5000
Fe 0.7202 0.8818 0.0000
Fe 0.7798 0.3818 0.5000
Fe 0.7943 0.1176 0.0000
O 0.0423 0.6089 0.5000
O 0.0892 0.8523 0.5000
O 0.1167 0.0430 0.0000
O 0.1859 0.4591 0.0000
O 0.2365 0.2192 0.5000
O 0.2635 0.7192 0.0000
O 0.3141 0.9591 0.5000
O 0.3833 0.5430 0.5000
O 0.4108 0.3523 0.0000
O 0.4577 0.1089 0.0000
O 0.5423 0.8911 0.0000
O 0.5892 0.6477 0.0000
O 0.6167 0.4570 0.5000
O 0.6859 0.0409 0.5000
O 0.7365 0.2808 0.0000
O 0.7635 0.7808 0.5000
O 0.8141 0.5409 0.0000
O 0.8833 0.9570 0.0000
O 0.9108 0.1477 0.5000
O 0.9577 0.3911 0.5000

Computed properties:
- Spin magnetization: 60.001 μB/cell
- ΔH_f (0 K): -1.678 eV per atom
- E_tot: -6.26 eV/atom

=====

No. 3
The following is a GGA+U calculation of a relaxed Li9Mn2Co5O16 crystal, from the Materials Project database.

a = 2.9726 Å, b = 8.0904 Å, c = 11.9213 Å
α = 90.63°, β = 94.20°, γ = 91.04°
Element x y z (fractional)
Li 0.0000 0.0000 0.0000
Li 0.0014 0.0126 0.4938
Li 0.0084 0.4931 0.2469
Li 0.4915 0.2434 0.3785
Li 0.4949 0.2471 0.1239
Li 0.4988 0.7528 0.3738
Li 0.5002 0.7498 0.8753
Li 0.5079 0.2453 0.6178
Li 0.9958 0.4957 0.7546
Mn 0.0034 0.4901 0.4944
Mn 0.5083 0.7532 0.6233
Co 0.0012 0.5000 0.9997
Co 0.0024 0.0021 0.7507
Co 0.4997 0.7502 0.1239
Co 0.5027 0.2503 0.8749
Co 0.9953 0.0088 0.2524
O 0.0044 0.2238 0.2445
O 0.0261 0.7369 0.0051
O 0.0286 0.2396 0.7575
O 0.0339 0.7387 0.5030
O 0.4718 0.9977 0.3628
O 0.4742 0.5112 0.1205
O 0.4753 0.0116 0.8695
O 0.4770 0.4979 0.3876
O 0.5239 0.9860 0.1289
O 0.5263 0.4892 0.8795
O 0.5285 0.9947 0.6316
O 0.5292 0.5062 0.6095
O 0.9737 0.7670 0.2415
O 0.9762 0.2628 0.9933
O 0.9759 0.7600 0.7469
O 0.9939 0.2647 0.5001

Computed properties:
- Relative energy among the computed polymorphs: 2.022 eV/f.u.
- Spin magnetization: 14.491 μB/cell
- ΔH_f (0 K): -1.801 eV per atom
- E_tot: -5.79 eV/atom

=====

No. 4
The following is a GGA+U calculation of a relaxed Na3VBPO7 crystal, from the Materials Project database.

a = 8.4896 Å, b = 8.4912 Å, c = 8.9949 Å
α = 89.06°, β = 89.07°, γ = 102.33°
Element x y z (fractional)
Na 0.5028 0.2528 0.0716
Na 0.0036 0.7535 0.0716
Na 0.4967 0.7466 0.9287
Na 0.9968 0.2468 0.9287
Na 0.1278 0.1249 0.2518
Na 0.6280 0.6249 0.2518
Na 0.3750 0.8778 0.2518
Na 0.8750 0.3780 0.2518
Na 0.6253 0.1223 0.7485
Na 0.1253 0.6222 0.7481
Na 0.8726 0.8752 0.7483
Na 0.3727 0.3752 0.7487
V 0.2654 0.5155 0.3358
V 0.7345 0.4846 0.6642
V 0.7655 0.0154 0.3359
V 0.2345 0.9847 0.6641
B 0.7400 0.9898 0.0661
B 0.2400 0.4900 0.0661
B 0.2598 0.0098 0.9339
B 0.7600 0.5100 0.9339
P 0.4838 0.2337 0.4214
P 0.9837 0.7337 0.4213
P 0.5163 0.7663 0.5786
P 0.0162 0.2664 0.5785
O 0.2776 0.0276 0.0815
O 0.7784 0.5285 0.0814
O 0.7221 0.9717 0.9185
O 0.2221 0.4721 0.9185
O 0.8574 0.1075 0.1339
O 0.3574 0.6075 0.1340
O 0.1419 0.8925 0.8660
O 0.6420 0.3925 0.8666
O 0.6407 0.8907 0.1747
O 0.1408 0.3906 0.1746
O 0.3593 0.1088 0.8253
O 0.8592 0.6087 0.8249
O 0.3405 0.0908 0.4606
O 0.8404 0.5908 0.4605
O 0.6597 0.9092 0.5395
O 0.1591 0.4098 0.5395
O 0.4396 0.6897 0.4346
O 0.9397 0.1897 0.4345
O 0.5607 0.3105 0.5652
O 0.0606 0.8104 0.5651
O 0.4240 0.3612 0.3230
O 0.9241 0.8613 0.3228
O 0.6110 0.1738 0.3229
O 0.1110 0.6738 0.3227
O 0.3890 0.8262 0.6770
O 0.8885 0.3257 0.6770
O 0.5758 0.6386 0.6770
O 0.0763 0.1392 0.6770

Computed properties:
- Spin magnetization: 0.000 μB/cell
- ΔH_f (0 K): -2.590 eV per atom
- E_tot: -6.69 eV/atom

=====

No. 5
The following is a GGA+U calculation of a relaxed Mg14ZnCrO16 crystal, from the Materials Project database.

a = 4.2693 Å, b = 8.5077 Å, c = 8.6315 Å
α = 90.00°, β = 90.00°, γ = 90.00°
Element x y z (fractional)
Mg 0.0000 0.0000 0.0000
Mg 0.0000 0.0000 0.5000
Mg 0.0000 0.2505 0.2473
Mg 0.0000 0.2505 0.7527
Mg 0.0000 0.7495 0.2473
Mg 0.0000 0.7495 0.7527
Mg 0.5000 0.0000 0.2494
Mg 0.5000 0.0000 0.7506
Mg 0.5000 0.2490 0.5000
Mg 0.5000 0.2503 0.0000
Mg 0.5000 0.5000 0.2462
Mg 0.5000 0.5000 0.7538
Mg 0.5000 0.7497 0.0000
Mg 0.5000 0.7510 0.5000
Zn 0.0000 0.5000 0.0000
Cr 0.0000 0.5000 0.5000
O 0.0000 0.0000 0.2518
O 0.0000 0.0000 0.7482
O 0.0000 0.2424 0.0000
O 0.0000 0.2502 0.5000
O 0.0000 0.5000 0.2392
O 0.0000 0.5000 0.7608
O 0.0000 0.7498 0.5000
O 0.0000 0.7576 0.0000
O 0.5000 0.0000 0.0000
O 0.5000 0.0000 0.5000
O 0.5000 0.2505 0.2507
O 0.5000 0.2505 0.7493
O 0.5000 0.5000 0.0000
O 0.5000 0.5000 0.5000
O 0.5000 0.7495 0.2507
O 0.5000 0.7495 0.7493

Computed properties:
- Relative energy among the computed polymorphs: 0.000 eV/f.u.
- Spin magnetization: 4.000 μB/cell
- ΔH_f (0 K): -2.878 eV per atom
- E_tot: -5.99 eV/atom

=====

No. 6
The following is a GGA+U calculation of a relaxed BaSr7Fe6Co2O20 crystal, from the Materials Project database.

a = 11.0801 Å, b = 11.4634 Å, c = 17.9424 Å
α = 108.61°, β = 107.77°, γ = 90.29°
Element x y z (fractional)
Ba 0.0000 0.0000 0.0000
Ba 0.0011 0.4988 0.9988
Ba 0.4996 0.9983 0.9995
Ba 0.7475 0.7368 0.9990
Sr 0.0007 0.0001 0.4934
Sr 0.1394 0.1419 0.2805
Sr 0.1385 0.6414 0.7738
Sr 0.1394 0.6449 0.2798
Sr 0.1416 0.1449 0.7739
Sr 0.2477 0.2279 0.4934
Sr 0.2477 0.2348 0.9933
Sr 0.2484 0.7352 0.4941
Sr 0.2498 0.7311 0.9947
Sr 0.3835 0.8704 0.7735
Sr 0.3867 0.8758 0.2784
Sr 0.3877 0.3725 0.7737
Sr 0.3884 0.3737 0.2766
Sr 0.4939 0.9993 0.4935
Sr 0.4972 0.5012 0.4941
Sr 0.4981 0.5004 0.9944
Sr 0.6337 0.6363 0.7733
Sr 0.6356 0.1428 0.7729
Sr 0.6404 0.6414 0.2780
Sr 0.6409 0.1440 0.2792
Sr 0.7469 0.2310 0.4945
Sr 0.7467 0.7336 0.4944
Sr 0.7483 0.2326 0.9939
Sr 0.8893 0.3733 0.7744
Sr 0.8897 0.3751 0.2772
Sr 0.8908 0.8728 0.7740
Sr 0.8942 0.8746 0.2797
Sr 0.9971 0.5011 0.4941
Fe 0.0477 0.3452 0.6318
Fe 0.0475 0.8462 0.6324
Fe 0.0519 0.3473 0.1390
Fe 0.0595 0.8505 0.1438
Fe 0.1962 0.4376 0.3867
Fe 0.2965 0.5248 0.6314
Fe 0.2978 0.0259 0.6324
Fe 0.3062 0.0322 0.1412
Fe 0.3064 0.5302 0.1405
Fe 0.4443 0.1856 0.3849
Fe 0.4439 0.6881 0.3840
Fe 0.5471 0.3444 0.6320
Fe 0.5477 0.8460 0.6328
Fe 0.5500 0.3488 0.1367
Fe 0.5505 0.8443 0.1416
Fe 0.6950 0.9361 0.3845
Fe 0.6960 0.4378 0.3865
Fe 0.7974 0.5260 0.1376
Fe 0.7985 0.0269 0.6333
Fe 0.7980 0.5259 0.6330
Fe 0.8062 0.0343 0.1441
Fe 0.9428 0.1841 0.8774
Fe 0.9472 0.1866 0.3861
Fe 0.9478 0.6894 0.3872
Co 0.1914 0.9347 0.8785
Co 0.1949 0.4354 0.8808
Co 0.1962 0.9362 0.3852
Co 0.4382 0.6812 0.8770
Co 0.4427 0.1905 0.8838
Co 0.6895 0.9316 0.8705
Co 0.6925 0.4329 0.8814
Co 0.9440 0.6786 0.8745
O 0.0210 0.2323 0.5228
O 0.0212 0.7336 0.5230
O 0.0255 0.2451 0.0276
O 0.0336 0.7443 0.0351
O 0.0609 0.8049 0.8871
O 0.0663 0.0587 0.8743
O 0.0660 0.5575 0.3783
O 0.0684 0.0556 0.3788
O 0.0709 0.5521 0.8736
O 0.0715 0.3113 0.8866
O 0.0751 0.3190 0.3959
O 0.0758 0.8184 0.3940
O 0.1236 0.4982 0.6325
O 0.1249 0.9982 0.6334
O 0.1307 0.8381 0.7388
O 0.1320 0.3406 0.2477
O 0.1330 0.3377 0.7375
O 0.1374 0.4997 0.1463
O 0.1369 0.8472 0.2539
O 0.1390 0.0023 0.1475
O 0.2690 0.0254 0.5219
O 0.2716 0.5314 0.5232
O 0.2744 0.0434 0.0349
O 0.2813 0.5393 0.0343
O 0.3149 0.0582 0.3785
O 0.3153 0.8115 0.8882
O 0.3165 0.5593 0.3777
O 0.3201 0.5645 0.8762
O 0.3212 0.3220 0.8920
O 0.3226 0.8160 0.3939
O 0.3241 0.0693 0.8751
O 0.3246 0.3150 0.3940
O 0.3735 0.3743 0.6325
O 0.3752 0.8755 0.6341
O 0.3767 0.3748 0.1369
O 0.3775 0.8779 0.1381
O 0.3788 0.6391 0.7391
O 0.3808 0.1411 0.7386
O 0.3889 0.6436 0.2505
O 0.3904 0.1439 0.2511
O 0.5207 0.2313 0.5232
O 0.5206 0.7334 0.0332
O 0.5209 0.7331 0.5244
O 0.5262 0.2426 0.0268
O 0.5581 0.8015 0.8844
O 0.5617 0.5491 0.8725
O 0.5665 0.0574 0.3789
O 0.5662 0.3033 0.8885
O 0.5669 0.5566 0.3787
O 0.5733 0.0434 0.8735
O 0.5745 0.8179 0.3955
O 0.5750 0.3190 0.3946
O 0.6234 0.5029 0.1384
O 0.6247 0.4974 0.6329
O 0.6249 0.9978 0.6334
O 0.6300 0.8375 0.7400
O 0.6308 0.3377 0.7380
O 0.6328 0.8429 0.2513
O 0.6336 0.3435 0.2456
O 0.6372 0.9942 0.1460
O 0.7657 0.5241 0.0283
O 0.7723 0.5317 0.5246
O 0.7735 0.0304 0.5249
O 0.7761 0.0439 0.0382
O 0.8059 0.8218 0.8845
O 0.8153 0.0611 0.8729
O 0.8162 0.5595 0.3784
O 0.8167 0.0599 0.3784
O 0.8191 0.3090 0.8864
O 0.8210 0.5674 0.8735
O 0.8234 0.3166 0.3943
O 0.8249 0.8144 0.3941
O 0.8745 0.3748 0.6334
O 0.8747 0.8752 0.6338
O 0.8769 0.3754 0.1368
O 0.8820 0.6402 0.7409
O 0.8826 0.1399 0.7418
O 0.8834 0.6410 0.2460
O 0.8874 0.1477 0.2531
O 0.8904 0.8876 0.1456

Computed properties:
- Spin magnetization: 141.051 μB/cell
- ΔH_f (0 K): -2.287 eV per atom
- E_tot: -6.38 eV/atom

=====

No. 7
The following is a GGA+U calculation of a relaxed YMg6NiO8 crystal, from the Materials Project database.

a = 4.4091 Å, b = 4.4091 Å, c = 8.8401 Å
α = 90.00°, β = 90.00°, γ = 90.00°
Element x y z (fractional)
Y 0.0000 0.0000 0.0000
Mg 0.0000 0.5000 0.2738
Mg 0.0000 0.5000 0.7262
Mg 0.5000 0.0000 0.2738
Mg 0.5000 0.0000 0.7262
Mg 0.5000 0.5000 0.0000
Mg 0.5000 0.5000 0.5000
Ni 0.0000 0.0000 0.5000
O 0.0000 0.0000 0.2508
O 0.0000 0.0000 0.7492
O 0.0000 0.5000 0.0000
O 0.0000 0.5000 0.5000
O 0.5000 0.0000 0.0000
O 0.5000 0.0000 0.5000
O 0.5000 0.5000 0.2487
O 0.5000 0.5000 0.7513

Computed properties:
- Relative energy among the computed polymorphs: 0.870 eV/f.u.
- Spin magnetization: 1.114 μB/cell
- ΔH_f (0 K): -2.732 eV per atom
- E_tot: -6.07 eV/atom

=====

No. 8
The following is a GGA+U calculation of a relaxed HoZnMo2O6 crystal, from the Materials Project database.

a = 5.4190 Å, b = 5.6406 Å, c = 9.6265 Å
α = 90.00°, β = 123.90°, γ = 90.00°
Element x y z (fractional)
Ho 0.0000 0.1871 0.0000
Ho 0.0000 0.8129 0.5000
Zn 0.4905 0.2541 0.4984
Zn 0.4905 0.7459 0.9984
Mo 0.2373 0.2645 0.7509
Mo 0.2373 0.7355 0.2509
Mo 0.7333 0.2599 0.2476
Mo 0.7333 0.7401 0.7476
O 0.1312 0.0590 0.3177
O 0.1312 0.9410 0.8177
O 0.3374 0.4343 0.1828
O 0.3374 0.5657 0.6828
O 0.4737 0.0677 0.6783
O 0.4737 0.9323 0.1783
O 0.6126 0.3274 0.9955
O 0.6126 0.6726 0.4955
O 0.8545 0.1905 0.5028
O 0.8545 0.8095 0.0028
O 0.9864 0.4261 0.8169
O 0.9864 0.5739 0.3169

Computed properties:
- Spin magnetization: 10.001 μB/cell
- ΔH_f (0 K): -2.364 eV per atom
- E_tot: -7.03 eV/atom

=====

What is the ΔH_f (0 K) in the seventh record?
-2.732 eV per atom

=====

spin magnetization of number 7 (YMg6NiO8)?
1.114 μB/cell

=====

The lowest spin magnetization belongs to which entry?
Na3VBPO7